# 1
This record from the Materials Project describes a relaxed structure of Rb6Mn2CrCl12. The functional is PBE-GGA.

abc: 5.0978 5.0978 24.6320
angles: 84.06 84.06 90.00
With the nearest neighbours (Å) after each atom.
Fractional positions:
Cl (0.0000, 0.5000, 0.0000)  2 Cr 2.55
Cl (0.5000, 0.0000, 0.0000)  2 Cr 2.55
Rb (0.4535, 0.4535, 0.0930)  9 Cl 3.33-3.61
Cl (0.1666, 0.6666, 0.6668)  2 Mn 2.55
Cl (0.7183, 0.7183, 0.5633)  1 Mn 2.52
Cl (0.2817, 0.2817, 0.4367)  1 Mn 2.52
Rb (0.1190, 0.1190, 0.7621)  9 Cl 3.35-3.61
Rb (0.2140, 0.2140, 0.5720)  9 Cl 3.30-3.61
Cl (0.3334, 0.8334, 0.3332)  2 Mn 2.55
Cl (0.9498, 0.9498, 0.1004)  1 Cr 2.45
Rb (0.7860, 0.7860, 0.4280)  9 Cl 3.30-3.61
Cl (0.8334, 0.3334, 0.3332)  2 Mn 2.55
Cl (0.6149, 0.6149, 0.7702)  1 Mn 2.52
Mn (0.6667, 0.6667, 0.6667)  6 Cl 2.52-2.55
Cl (0.6666, 0.1666, 0.6668)  2 Mn 2.55
Cl (0.3851, 0.3851, 0.2298)  1 Mn 2.52
Mn (0.3333, 0.3333, 0.3333)  6 Cl 2.52-2.55
Rb (0.5465, 0.5465, 0.9070)  9 Cl 3.33-3.61
Cl (0.0502, 0.0502, 0.8996)  1 Cr 2.45
Cr (0.0000, 0.0000, 0.0000)  6 Cl 2.45-2.55
Rb (0.8810, 0.8810, 0.2379)  9 Cl 3.35-3.61

## Properties
Its total energy is -89.33 eV/cell. As for the formation energy from the elements: -1.94 eV per atom. Its magnetic moment is 14.0 μB/f.u.


# 2
This record from the Materials Project describes a relaxed structure of Na3CrCl6. The functional is PBE-GGA.

abc: 6.9051 6.9051 12.1504
angles: 90.00 90.00 120.00
With the nearest neighbours (Å) after each atom.
Fractional positions:
Cl (0.9397, 0.6173, 0.8647)  1 Cr 2.38
Cl (0.3827, 0.3225, 0.8647)  1 Cr 2.38
Na (0.0000, 0.0000, 0.2500)  6 Cl 2.83
Na (0.6667, 0.3333, 0.4558)  6 Cl 2.79-2.91
Cl (0.6173, 0.9397, 0.3647)  1 Cr 2.38
Cr (0.3333, 0.6667, 0.2500)  6 Cl 2.38
Cl (0.6775, 0.0603, 0.8647)  1 Cr 2.38
Cl (0.3225, 0.3827, 0.3647)  1 Cr 2.38
Na (0.6667, 0.3333, 0.0442)  6 Cl 2.79-2.91
Cl (0.0603, 0.3827, 0.1353)  1 Cr 2.38
Na (0.3333, 0.6667, 0.9558)  6 Cl 2.79-2.91
Cl (0.3827, 0.0603, 0.6353)  1 Cr 2.38
Cl (0.0603, 0.6775, 0.3647)  1 Cr 2.38
Cl (0.6775, 0.6173, 0.6353)  1 Cr 2.38
Na (0.0000, 0.0000, 0.7500)  6 Cl 2.83
Cl (0.9397, 0.3225, 0.6353)  1 Cr 2.38
Na (0.3333, 0.6667, 0.5442)  6 Cl 2.79-2.91
Cl (0.6173, 0.6775, 0.1353)  1 Cr 2.38
Cr (0.6667, 0.3333, 0.7500)  6 Cl 2.38
Cl (0.3225, 0.9397, 0.1353)  1 Cr 2.38

## Properties
Its total energy is -80.18 eV/cell. As for the formation energy from the elements: -1.91 eV per atom.


# 3
This record from the Materials Project describes a relaxed structure of Na2CrCl4. The functional is PBE-GGA.

abc: 11.6283 4.0385 7.0166
angles: 86.19 90.00 90.00
With the nearest neighbours (Å) after each atom.
Fractional positions:
Cl (0.3065, 0.9919, 0.6154)  1 Cr 2.39
Cl (0.9530, 0.5668, 0.2402)  1 Cr 2.41
Na (0.1803, 0.4832, 0.4061)  6 Cl 2.80-2.99
Cl (0.6935, 0.0081, 0.3846)  1 Cr 2.39
Na (0.8197, 0.5168, 0.5939)  6 Cl 2.80-2.99
Cl (0.8065, 0.0081, 0.8846)  1 Cr 2.39
Cr (0.5000, 0.0000, 0.5000)  4 Cl 2.39-2.41
Cl (0.4530, 0.4332, 0.2598)  1 Cr 2.41
Cl (0.5470, 0.5668, 0.7402)  1 Cr 2.41
Na (0.3197, 0.4832, 0.9061)  6 Cl 2.80-2.99
Na (0.6803, 0.5168, 0.0939)  6 Cl 2.80-2.99
Cl (0.0470, 0.4332, 0.7598)  1 Cr 2.41
Cr (0.0000, 0.0000, 0.0000)  4 Cl 2.39-2.41
Cl (0.1935, 0.9919, 0.1154)  1 Cr 2.39

## Properties
Its total energy is -59.32 eV/cell. As for the formation energy from the elements: -1.78 eV per atom. Its magnetic moment is 4.0 μB/f.u.


# 4
This record from the Materials Project describes a relaxed structure of Rb2NaCrCl6. The functional is PBE-GGA.

abc: 7.2811 7.2811 7.2811
angles: 60.00 60.00 60.00
With the nearest neighbours (Å) after each atom.
Fractional positions:
Rb (0.7500, 0.7500, 0.7500)  12 Cl 3.65
Cl (0.7701, 0.2299, 0.7701)  1 Cr 2.37
Rb (0.2500, 0.2500, 0.2500)  12 Cl 3.65
Cl (0.2299, 0.2299, 0.7701)  1 Cr 2.37
Cl (0.2299, 0.7701, 0.2299)  1 Cr 2.37
Cl (0.7701, 0.2299, 0.2299)  1 Cr 2.37
Cl (0.7701, 0.7701, 0.2299)  1 Cr 2.37
Na (0.5000, 0.5000, 0.5000)  6 Cl 2.78
Cl (0.2299, 0.7701, 0.7701)  1 Cr 2.37
Cr (0.0000, 0.0000, 0.0000)  6 Cl 2.37

## Properties
Its total energy is -40.24 eV/cell. As for the formation energy from the elements: -1.99 eV per atom. Its magnetic moment is 3.0 μB/f.u.


# 5
This record from the Materials Project describes a relaxed structure of RbCrCl3. The functional is PBE-GGA.

abc: 7.1901 7.1901 12.9112
angles: 86.44 86.44 59.42
With the nearest neighbours (Å) after each atom.
Fractional positions:
Cr (0.0000, 0.0000, 0.0000)  4 Cl 2.38-2.43
Cr (0.0398, 0.9602, 0.7500)  4 Cl 2.38-2.43
Cl (0.3538, 0.8116, 0.8503)  1 Cr 2.38
Rb (0.6845, 0.6498, 0.6288)  9 Cl 3.37-3.72
Cl (0.6462, 0.1884, 0.1497)  1 Cr 2.38
Cl (0.1884, 0.6462, 0.6497)  1 Cr 2.38
Cl (0.8532, 0.8212, 0.9153)  1 Cr 2.38
Cr (0.9602, 0.0398, 0.2500)  4 Cl 2.38-2.43
Rb (0.6498, 0.6845, 0.1288)  9 Cl 3.37-3.72
Cl (0.8116, 0.3538, 0.3503)  1 Cr 2.38
Cl (0.1788, 0.1468, 0.5847)  1 Cr 2.38
Cl (0.1468, 0.1788, 0.0847)  1 Cr 2.38
Cr (0.0000, 0.0000, 0.5000)  4 Cl 2.38-2.43
Rb (0.3502, 0.3155, 0.8712)  9 Cl 3.37-3.72
Cl (0.2720, 0.8735, 0.3590)  2 Cr 2.43
Rb (0.3155, 0.3502, 0.3712)  9 Cl 3.37-3.72
Cl (0.1265, 0.7280, 0.1410)  2 Cr 2.43
Cl (0.8735, 0.2720, 0.8590)  2 Cr 2.43
Cl (0.8212, 0.8532, 0.4153)  1 Cr 2.38
Cl (0.7280, 0.1265, 0.6410)  2 Cr 2.43

## Properties
Its total energy is -92.15 eV/cell. As for the formation energy from the elements: -1.74 eV per atom.


# 6
This record from the Materials Project describes a relaxed structure of RbCrCl3. The functional is PBE-GGA.

abc: 7.1853 7.1853 12.8220
angles: 87.60 87.60 59.62
With the nearest neighbours (Å) after each atom.
Fractional positions:
Cr (0.9739, 0.0314, 0.7497)  4 Cl 2.38-2.46
Cl (0.2531, 0.9008, 0.6106)  2 Cr 2.43-2.45
Cl (0.6217, 0.2067, 0.3981)  1 Cr 2.40
Cl (0.1607, 0.6816, 0.8934)  1 Cr 2.39
Cl (0.3184, 0.8393, 0.1066)  1 Cr 2.39
Rb (0.3203, 0.3416, 0.1200)  9 Cl 3.45-3.72
Cr (0.0081, 0.9919, 0.0000)  4 Cl 2.39-2.44
Cr (0.9686, 0.0261, 0.2503)  4 Cl 2.38-2.46
Cl (0.1171, 0.2038, 0.3393)  1 Cr 2.38
Cr (0.9402, 0.0598, 0.5000)  4 Cl 2.40-2.43
Cl (0.1509, 0.1799, 0.8417)  1 Cr 2.40
Cl (0.6944, 0.1590, 0.8890)  2 Cr 2.44-2.46
Cl (0.0992, 0.7469, 0.3894)  2 Cr 2.43-2.45
Rb (0.6584, 0.6797, 0.8800)  9 Cl 3.45-3.72
Cl (0.7933, 0.3783, 0.6019)  1 Cr 2.40
Cl (0.7962, 0.8829, 0.6607)  1 Cr 2.38
Cl (0.8410, 0.3056, 0.1110)  2 Cr 2.44-2.46
Rb (0.2913, 0.3818, 0.6229)  9 Cl 3.45-3.71
Cl (0.8201, 0.8491, 0.1583)  1 Cr 2.40
Rb (0.6182, 0.7087, 0.3771)  9 Cl 3.45-3.71

## Properties
Its total energy is -92.11 eV/cell. As for the formation energy from the elements: -1.74 eV per atom. Its magnetic moment is 4.0 μB/f.u.


# 7
This record from the Materials Project describes a relaxed structure of RbCrCl3. The functional is PBE-GGA.

abc: 6.3126 7.1013 7.1355
angles: 60.16 88.02 90.00
With the nearest neighbours (Å) after each atom.
Fractional positions:
Cl (0.3095, 0.1632, 0.6736)  1 Cr 2.39
Rb (0.7548, 0.3342, 0.3316)  9 Cl 3.45-3.60
Cl (0.6905, 0.8368, 0.3264)  1 Cr 2.39
Cr (0.5000, 0.0000, 0.0000)  6 Cl 2.39-2.61
Cr (0.0000, 0.0000, 0.0000)  4 Cl 2.42
Cl (0.2198, 0.1576, 0.1601)  2 Cr 2.42-2.61
Cl (0.7802, 0.3177, 0.8399)  2 Cr 2.42-2.61
Cl (0.2198, 0.6823, 0.1601)  2 Cr 2.42-2.61
Rb (0.2452, 0.6658, 0.6684)  9 Cl 3.45-3.60
Cl (0.7802, 0.8424, 0.8399)  2 Cr 2.42-2.61

## Properties
Its total energy is -45.99 eV/cell. As for the formation energy from the elements: -1.73 eV per atom. Its magnetic moment is 4.0 μB/f.u.


# 8
This record from the Materials Project describes a relaxed structure of Sm8CrTe13Cl. The functional is PBE-GGA.

abc: 4.1061 13.7518 24.4593
angles: 90.00 90.00 98.59
With the nearest neighbours (Å) after each atom.
Fractional positions:
Cr (0.2910, 0.5819, 0.0592)  6 Te 2.73-2.76
Sm (0.9467, 0.8935, 0.0566)  7 Te 3.16-3.43
Sm (0.3068, 0.6136, 0.7312)  7 Te 3.13-3.23
Te (0.8269, 0.6538, 0.9957)  2 Cr 2.75
Te (0.4131, 0.8263, 0.7855)  5 Sm 3.18-3.24, 1 Te 3.51, 2 Cl 3.56
Te (0.1294, 0.2587, 0.1636)  5 Sm 3.16-3.37
Sm (0.1485, 0.2971, 0.7167)  8 Te 3.17-3.47
Sm (0.3673, 0.7347, 0.5648)  7 Te 3.17-3.41
Te (0.7255, 0.4510, 0.7665)  5 Sm 3.14-3.41
Cl (0.0007, 0.0014, 0.8534)  3 Sm 2.82-3.05
Te (0.8706, 0.7413, 0.6636)  5 Sm 3.16-3.37
Sm (0.9829, 0.9657, 0.7220)  7 Te 3.19-3.37, 1 Cl 3.25
Te (0.6952, 0.3904, 0.3631)  5 Sm 3.17-3.23, 1 Te 3.51
Te (0.7555, 0.5109, 0.1236)  2 Cr 2.76
Sm (0.7249, 0.4499, 0.9058)  8 Te 3.17-3.54
Sm (0.2751, 0.5501, 0.4058)  8 Te 3.17-3.54
Te (0.4502, 0.9003, 0.9586)  5 Sm 3.15-3.34
Te (0.9379, 0.8758, 0.4998)  5 Sm 3.23-3.43
Te (0.8555, 0.7111, 0.3584)  5 Sm 3.22-3.47
Cr (0.7090, 0.4181, 0.5592)  6 Te 2.73-2.76
Te (0.2445, 0.4891, 0.6236)  2 Cr 2.76
Te (0.4337, 0.8673, 0.2594)  5 Sm 3.19-3.38, 2 Cl 3.56
Te (0.4817, 0.9634, 0.6214)  5 Sm 3.20-3.41
Sm (0.8924, 0.7848, 0.8851)  1 Cl 3.05, 7 Te 3.15-3.24
Te (0.2038, 0.4075, 0.0028)  1 Cr 2.74
Te (0.1445, 0.2889, 0.8584)  5 Sm 3.22-3.47
Sm (0.0171, 0.0343, 0.2220)  7 Te 3.19-3.37, 1 Cl 3.25
Te (0.7962, 0.5925, 0.5028)  1 Cr 2.74
Cl (0.9993, 0.9986, 0.3534)  3 Sm 2.82-3.05
Te (0.3048, 0.6096, 0.8631)  5 Sm 3.17-3.23, 1 Te 3.51
Te (0.5869, 0.1737, 0.2855)  5 Sm 3.18-3.24, 1 Te 3.51, 2 Cl 3.56
Te (0.5663, 0.1327, 0.7594)  5 Sm 3.19-3.38, 2 Cl 3.56
Sm (0.4401, 0.8803, 0.3973)  2 Cl 2.82
Te (0.5498, 0.0997, 0.4586)  5 Sm 3.15-3.34
Te (0.6244, 0.2489, 0.6190)  1 Cr 2.73
Sm (0.6327, 0.2653, 0.0648)  7 Te 3.17-3.41
Sm (0.5599, 0.1197, 0.8973)  2 Cl 2.82
Sm (0.0533, 0.1065, 0.5566)  7 Te 3.16-3.43
Te (0.1731, 0.3462, 0.4957)  2 Cr 2.75
Sm (0.6932, 0.3864, 0.2312)  7 Te 3.13-3.23
Sm (0.8515, 0.7029, 0.2167)  8 Te 3.17-3.47
Te (0.3756, 0.7511, 0.1190)  1 Cr 2.73
Te (0.0621, 0.1242, 0.9998)  5 Sm 3.23-3.43
Sm (0.1076, 0.2152, 0.3851)  1 Cl 3.05, 7 Te 3.15-3.24
Te (0.5183, 0.0366, 0.1214)  5 Sm 3.20-3.41
Te (0.2745, 0.5490, 0.2665)  5 Sm 3.14-3.41

## Properties
Its total energy is -246.43 eV/cell. As for the formation energy from the elements: -1.47 eV per atom. Its magnetic moment is 3.0 μB/f.u.